Record 1
# Li2FeHgF6 PBE+U relaxed
data_Li2FeHgF6
_space_group_name_H-M_alt 'P 1'
_space_group_IT_number 1
_cell_length_a 6.209
_cell_length_b 6.209
_cell_length_c 6.209
_cell_angle_alpha 60.00
_cell_angle_beta 60.00
_cell_angle_gamma 60.00
loop_
_space_group_symop_operation_xyz
'x,y,z'
loop_
_atom_site_label
_atom_site_type_symbol
_atom_site_fract_x
_atom_site_fract_y
_atom_site_fract_z
Li1 Li 0.250 0.250 0.250
Li2 Li 0.750 0.750 0.750
Fe1 Fe 0.000 0.000 0.000
Hg1 Hg 0.500 0.500 0.500
F1 F 0.223 0.223 0.777
F2 F 0.223 0.777 0.223
F3 F 0.223 0.777 0.777
F4 F 0.777 0.223 0.223
F5 F 0.777 0.223 0.777
F6 F 0.777 0.777 0.223
# * raw total energy: -40.82 eV/cell

---

Record 2
# K2FeF5 PBE+U relaxed
data_K2FeF5
_space_group_name_H-M_alt 'P 1'
_space_group_IT_number 1
_cell_length_a 7.492
_cell_length_b 23.441
_cell_length_c 5.800
_cell_angle_alpha 90.00
_cell_angle_beta 90.00
_cell_angle_gamma 90.00
loop_
_space_group_symop_operation_xyz
'x,y,z'
loop_
_atom_site_label
_atom_site_type_symbol
_atom_site_fract_x
_atom_site_fract_y
_atom_site_fract_z
K1 K 0.052 0.168 0.000
K2 K 0.133 0.583 0.500
K3 K 0.202 0.262 0.500
K4 K 0.230 0.987 0.000
K5 K 0.270 0.487 0.000
K6 K 0.298 0.762 0.500
K7 K 0.367 0.083 0.500
K8 K 0.448 0.668 0.000
K9 K 0.552 0.332 0.000
K10 K 0.633 0.917 0.500
K11 K 0.702 0.238 0.500
K12 K 0.730 0.513 0.000
K13 K 0.770 0.013 0.000
K14 K 0.798 0.738 0.500
K15 K 0.867 0.417 0.500
K16 K 0.948 0.832 0.000
Fe1 Fe 0.043 0.345 0.000
Fe2 Fe 0.120 0.906 0.500
Fe3 Fe 0.380 0.406 0.500
Fe4 Fe 0.457 0.845 0.000
Fe5 Fe 0.543 0.155 0.000
Fe6 Fe 0.620 0.594 0.500
Fe7 Fe 0.880 0.094 0.500
Fe8 Fe 0.957 0.655 0.000
F1 F 0.008 0.830 0.500
F2 F 0.036 0.068 0.259
F3 F 0.036 0.068 0.741
F4 F 0.052 0.577 0.000
F5 F 0.113 0.680 0.242
F6 F 0.113 0.680 0.758
F7 F 0.179 0.275 0.000
F8 F 0.218 0.470 0.500
F9 F 0.219 0.373 0.248
F10 F 0.219 0.373 0.752
F11 F 0.281 0.873 0.248
F12 F 0.281 0.873 0.752
F13 F 0.282 0.970 0.500
F14 F 0.321 0.775 0.000
F15 F 0.387 0.180 0.242
F16 F 0.387 0.180 0.758
F17 F 0.448 0.077 0.000
F18 F 0.464 0.568 0.259
F19 F 0.464 0.568 0.741
F20 F 0.492 0.330 0.500
F21 F 0.508 0.670 0.500
F22 F 0.536 0.432 0.259
F23 F 0.536 0.432 0.741
F24 F 0.552 0.923 0.000
F25 F 0.613 0.820 0.242
F26 F 0.613 0.820 0.758
F27 F 0.679 0.225 0.000
F28 F 0.718 0.030 0.500
F29 F 0.719 0.127 0.248
F30 F 0.719 0.127 0.752
F31 F 0.781 0.627 0.248
F32 F 0.781 0.627 0.752
F33 F 0.782 0.530 0.500
F34 F 0.821 0.725 0.000
F35 F 0.887 0.320 0.242
F36 F 0.887 0.320 0.758
F37 F 0.948 0.423 0.000
F38 F 0.964 0.932 0.259
F39 F 0.964 0.932 0.741
F40 F 0.992 0.170 0.500
# * raw total energy: -311.74 eV/cell

---

Record 3
# K2FeF5 PBE+U relaxed
data_K2FeF5
_space_group_name_H-M_alt 'P 1'
_space_group_IT_number 1
_cell_length_a 7.552
_cell_length_b 13.071
_cell_length_c 20.777
_cell_angle_alpha 90.00
_cell_angle_beta 90.00
_cell_angle_gamma 90.00
loop_
_space_group_symop_operation_xyz
'x,y,z'
loop_
_atom_site_label
_atom_site_type_symbol
_atom_site_fract_x
_atom_site_fract_y
_atom_site_fract_z
K1 K 0.000 0.036 0.250
K2 K 0.000 0.426 0.750
K3 K 0.000 0.574 0.250
K4 K 0.000 0.964 0.750
K5 K 0.012 0.231 0.507
K6 K 0.012 0.769 0.007
K7 K 0.149 0.288 0.337
K8 K 0.149 0.712 0.837
K9 K 0.159 0.481 0.583
K10 K 0.159 0.519 0.083
K11 K 0.341 0.019 0.083
K12 K 0.341 0.981 0.583
K13 K 0.351 0.212 0.837
K14 K 0.351 0.788 0.337
K15 K 0.488 0.269 0.007
K16 K 0.488 0.731 0.507
K17 K 0.500 0.074 0.250
K18 K 0.500 0.464 0.750
K19 K 0.500 0.536 0.250
K20 K 0.500 0.926 0.750
K21 K 0.512 0.269 0.493
K22 K 0.512 0.731 0.993
K23 K 0.649 0.212 0.663
K24 K 0.649 0.788 0.163
K25 K 0.659 0.019 0.417
K26 K 0.659 0.981 0.917
K27 K 0.841 0.481 0.917
K28 K 0.841 0.519 0.417
K29 K 0.851 0.288 0.163
K30 K 0.851 0.712 0.663
K31 K 0.988 0.231 0.993
K32 K 0.988 0.769 0.493
Fe1 Fe 0.164 0.197 0.672
Fe2 Fe 0.164 0.803 0.172
Fe3 Fe 0.170 0.001 0.422
Fe4 Fe 0.170 0.999 0.922
Fe5 Fe 0.330 0.499 0.922
Fe6 Fe 0.330 0.501 0.422
Fe7 Fe 0.336 0.303 0.172
Fe8 Fe 0.336 0.697 0.672
Fe9 Fe 0.664 0.303 0.328
Fe10 Fe 0.664 0.697 0.828
Fe11 Fe 0.670 0.499 0.578
Fe12 Fe 0.670 0.501 0.078
Fe13 Fe 0.830 0.001 0.078
Fe14 Fe 0.830 0.999 0.578
Fe15 Fe 0.836 0.197 0.828
Fe16 Fe 0.836 0.803 0.328
F1 F 0.000 0.000 0.000
F2 F 0.000 0.000 0.500
F3 F 0.000 0.178 0.750
F4 F 0.000 0.822 0.250
F5 F 0.004 0.095 0.623
F6 F 0.004 0.905 0.123
F7 F 0.010 0.302 0.640
F8 F 0.010 0.698 0.140
F9 F 0.032 0.111 0.388
F10 F 0.032 0.889 0.888
F11 F 0.175 0.412 0.971
F12 F 0.175 0.588 0.471
F13 F 0.178 0.491 0.349
F14 F 0.178 0.509 0.849
F15 F 0.187 0.299 0.097
F16 F 0.187 0.701 0.597
F17 F 0.201 0.206 0.222
F18 F 0.201 0.794 0.722
F19 F 0.208 0.422 0.203
F20 F 0.208 0.578 0.703
F21 F 0.224 0.378 0.460
F22 F 0.224 0.622 0.960
F23 F 0.276 0.122 0.960
F24 F 0.276 0.878 0.460
F25 F 0.292 0.078 0.703
F26 F 0.292 0.922 0.203
F27 F 0.299 0.294 0.722
F28 F 0.299 0.706 0.222
F29 F 0.313 0.201 0.597
F30 F 0.313 0.799 0.097
F31 F 0.322 0.009 0.849
F32 F 0.322 0.991 0.349
F33 F 0.325 0.088 0.471
F34 F 0.325 0.912 0.971
F35 F 0.468 0.389 0.888
F36 F 0.468 0.611 0.388
F37 F 0.490 0.198 0.140
F38 F 0.490 0.802 0.640
F39 F 0.496 0.405 0.123
F40 F 0.496 0.595 0.623
F41 F 0.500 0.322 0.250
F42 F 0.500 0.500 0.000
F43 F 0.500 0.500 0.500
F44 F 0.500 0.678 0.750
F45 F 0.504 0.405 0.377
F46 F 0.504 0.595 0.877
F47 F 0.510 0.198 0.360
F48 F 0.510 0.802 0.860
F49 F 0.532 0.389 0.612
F50 F 0.532 0.611 0.112
F51 F 0.675 0.088 0.029
F52 F 0.675 0.912 0.529
F53 F 0.678 0.009 0.651
F54 F 0.678 0.991 0.151
F55 F 0.687 0.201 0.903
F56 F 0.687 0.799 0.403
F57 F 0.701 0.294 0.778
F58 F 0.701 0.706 0.278
F59 F 0.708 0.078 0.797
F60 F 0.708 0.922 0.297
F61 F 0.724 0.122 0.540
F62 F 0.724 0.878 0.040
F63 F 0.776 0.378 0.040
F64 F 0.776 0.622 0.540
F65 F 0.792 0.422 0.297
F66 F 0.792 0.578 0.797
F67 F 0.799 0.206 0.278
F68 F 0.799 0.794 0.778
F69 F 0.813 0.299 0.403
F70 F 0.813 0.701 0.903
F71 F 0.822 0.491 0.151
F72 F 0.822 0.509 0.651
F73 F 0.825 0.412 0.529
F74 F 0.825 0.588 0.029
F75 F 0.968 0.111 0.112
F76 F 0.968 0.889 0.612
F77 F 0.990 0.302 0.860
F78 F 0.990 0.698 0.360
F79 F 0.996 0.095 0.877
F80 F 0.996 0.905 0.377
# * raw total energy: -623.27 eV/cell

---

Record 4
# K2FeF5 PBE+U relaxed
data_K2FeF5
_space_group_name_H-M_alt 'P 1'
_space_group_IT_number 1
_cell_length_a 7.230
_cell_length_b 7.230
_cell_length_c 7.488
_cell_angle_alpha 115.20
_cell_angle_beta 115.20
_cell_angle_gamma 47.50
loop_
_space_group_symop_operation_xyz
'x,y,z'
loop_
_atom_site_label
_atom_site_type_symbol
_atom_site_fract_x
_atom_site_fract_y
_atom_site_fract_z
K1 K 0.024 0.024 0.249
K2 K 0.333 0.333 0.227
K3 K 0.667 0.667 0.773
K4 K 0.976 0.976 0.751
Fe1 Fe 0.310 0.310 0.715
Fe2 Fe 0.690 0.690 0.285
F1 F 0.000 0.500 0.500
F2 F 0.120 0.602 0.915
F3 F 0.157 0.157 0.690
F4 F 0.398 0.880 0.085
F5 F 0.443 0.443 0.670
F6 F 0.500 0.000 0.500
F7 F 0.557 0.557 0.330
F8 F 0.602 0.120 0.915
F9 F 0.843 0.843 0.310
F10 F 0.880 0.398 0.085
# * raw total energy: -77.93 eV/cell

---

Record 5
# K3FeF6 PBE+U relaxed
data_K3FeF6
_space_group_name_H-M_alt 'P 1'
_space_group_IT_number 1
_cell_length_a 6.313
_cell_length_b 6.313
_cell_length_c 6.313
_cell_angle_alpha 60.00
_cell_angle_beta 60.00
_cell_angle_gamma 60.00
loop_
_space_group_symop_operation_xyz
'x,y,z'
loop_
_atom_site_label
_atom_site_type_symbol
_atom_site_fract_x
_atom_site_fract_y
_atom_site_fract_z
K1 K 0.000 0.000 0.000
K2 K 0.250 0.250 0.250
K3 K 0.750 0.750 0.750
Fe1 Fe 0.500 0.500 0.500
F1 F 0.281 0.281 0.719
F2 F 0.281 0.719 0.281
F3 F 0.281 0.719 0.719
F4 F 0.719 0.281 0.281
F5 F 0.719 0.281 0.719
F6 F 0.719 0.719 0.281
# * raw total energy: -47.41 eV/cell

---

Record 6
# K2FeF5 PBE+U relaxed
data_K2FeF5
_space_group_name_H-M_alt 'P 1'
_space_group_IT_number 1
_cell_length_a 20.778
_cell_length_b 13.059
_cell_length_c 7.560
_cell_angle_alpha 90.00
_cell_angle_beta 90.00
_cell_angle_gamma 90.00
loop_
_space_group_symop_operation_xyz
'x,y,z'
loop_
_atom_site_label
_atom_site_type_symbol
_atom_site_fract_x
_atom_site_fract_y
_atom_site_fract_z
K1 K 0.006 0.019 0.000
K2 K 0.008 0.519 0.526
K3 K 0.082 0.768 0.856
K4 K 0.084 0.271 0.674
K5 K 0.162 0.535 0.163
K6 K 0.163 0.039 0.363
K7 K 0.249 0.824 0.014
K8 K 0.250 0.286 0.016
K9 K 0.250 0.786 0.516
K10 K 0.251 0.324 0.514
K11 K 0.337 0.539 0.863
K12 K 0.338 0.035 0.663
K13 K 0.416 0.771 0.174
K14 K 0.418 0.268 0.356
K15 K 0.492 0.019 0.026
K16 K 0.494 0.519 0.500
K17 K 0.506 0.481 0.000
K18 K 0.508 0.981 0.526
K19 K 0.582 0.732 0.856
K20 K 0.584 0.229 0.674
K21 K 0.662 0.965 0.163
K22 K 0.663 0.461 0.363
K23 K 0.749 0.676 0.014
K24 K 0.750 0.214 0.016
K25 K 0.750 0.714 0.516
K26 K 0.751 0.176 0.514
K27 K 0.837 0.961 0.863
K28 K 0.838 0.465 0.663
K29 K 0.916 0.729 0.174
K30 K 0.918 0.232 0.356
K31 K 0.992 0.481 0.026
K32 K 0.994 0.981 0.500
Fe1 Fe 0.077 0.251 0.181
Fe2 Fe 0.078 0.750 0.341
Fe3 Fe 0.171 0.053 0.849
Fe4 Fe 0.172 0.554 0.677
Fe5 Fe 0.328 0.054 0.177
Fe6 Fe 0.329 0.553 0.349
Fe7 Fe 0.422 0.250 0.841
Fe8 Fe 0.423 0.751 0.681
Fe9 Fe 0.577 0.249 0.181
Fe10 Fe 0.578 0.750 0.341
Fe11 Fe 0.671 0.447 0.849
Fe12 Fe 0.672 0.946 0.677
Fe13 Fe 0.828 0.446 0.177
Fe14 Fe 0.829 0.947 0.349
Fe15 Fe 0.922 0.250 0.841
Fe16 Fe 0.923 0.749 0.681
F1 F 0.003 0.749 0.519
F2 F 0.028 0.837 0.190
F3 F 0.031 0.339 0.339
F4 F 0.039 0.627 0.238
F5 F 0.040 0.129 0.290
F6 F 0.096 0.550 0.821
F7 F 0.098 0.049 0.695
F8 F 0.110 0.361 0.039
F9 F 0.114 0.861 0.473
F10 F 0.120 0.154 0.004
F11 F 0.126 0.654 0.511
F12 F 0.138 0.947 0.001
F13 F 0.142 0.447 0.523
F14 F 0.150 0.739 0.182
F15 F 0.153 0.242 0.326
F16 F 0.203 0.673 0.805
F17 F 0.204 0.172 0.724
F18 F 0.221 0.456 0.816
F19 F 0.223 0.956 0.718
F20 F 0.247 0.072 0.020
F21 F 0.253 0.572 0.520
F22 F 0.277 0.456 0.218
F23 F 0.279 0.956 0.316
F24 F 0.296 0.672 0.224
F25 F 0.297 0.173 0.305
F26 F 0.347 0.742 0.826
F27 F 0.350 0.239 0.682
F28 F 0.358 0.947 0.023
F29 F 0.362 0.447 0.501
F30 F 0.374 0.154 0.011
F31 F 0.380 0.654 0.504
F32 F 0.386 0.361 0.973
F33 F 0.390 0.861 0.539
F34 F 0.402 0.549 0.195
F35 F 0.404 0.050 0.321
F36 F 0.460 0.629 0.790
F37 F 0.461 0.127 0.738
F38 F 0.469 0.839 0.839
F39 F 0.472 0.337 0.690
F40 F 0.497 0.249 0.019
F41 F 0.503 0.751 0.519
F42 F 0.528 0.663 0.190
F43 F 0.531 0.161 0.339
F44 F 0.539 0.873 0.238
F45 F 0.540 0.371 0.290
F46 F 0.596 0.950 0.821
F47 F 0.598 0.451 0.695
F48 F 0.610 0.139 0.039
F49 F 0.614 0.639 0.473
F50 F 0.620 0.346 0.004
F51 F 0.626 0.846 0.511
F52 F 0.638 0.553 0.001
F53 F 0.642 0.053 0.523
F54 F 0.650 0.761 0.182
F55 F 0.653 0.258 0.326
F56 F 0.703 0.827 0.805
F57 F 0.704 0.328 0.724
F58 F 0.721 0.044 0.816
F59 F 0.723 0.544 0.718
F60 F 0.747 0.428 0.020
F61 F 0.753 0.928 0.520
F62 F 0.777 0.044 0.218
F63 F 0.779 0.544 0.316
F64 F 0.796 0.828 0.224
F65 F 0.797 0.327 0.305
F66 F 0.847 0.758 0.826
F67 F 0.850 0.261 0.682
F68 F 0.858 0.553 0.023
F69 F 0.862 0.053 0.501
F70 F 0.874 0.346 0.011
F71 F 0.880 0.846 0.504
F72 F 0.886 0.139 0.973
F73 F 0.890 0.639 0.539
F74 F 0.902 0.951 0.195
F75 F 0.904 0.450 0.321
F76 F 0.960 0.871 0.790
F77 F 0.961 0.373 0.738
F78 F 0.969 0.661 0.839
F79 F 0.972 0.163 0.690
F80 F 0.997 0.251 0.019
# * raw total energy: -609.84 eV/cell

---

Record 7
# K2FeF5 PBE+U relaxed
data_K2FeF5
_space_group_name_H-M_alt 'P 1'
_space_group_IT_number 1
_cell_length_a 7.490
_cell_length_b 5.780
_cell_length_c 11.743
_cell_angle_alpha 90.00
_cell_angle_beta 90.00
_cell_angle_gamma 90.00
loop_
_space_group_symop_operation_xyz
'x,y,z'
loop_
_atom_site_label
_atom_site_type_symbol
_atom_site_fract_x
_atom_site_fract_y
_atom_site_fract_z
K1 K 0.011 0.250 0.228
K2 K 0.157 0.750 0.415
K3 K 0.343 0.250 0.915
K4 K 0.489 0.750 0.728
K5 K 0.511 0.250 0.272
K6 K 0.657 0.750 0.085
K7 K 0.843 0.250 0.585
K8 K 0.989 0.750 0.772
Fe1 Fe 0.170 0.750 0.061
Fe2 Fe 0.330 0.250 0.561
Fe3 Fe 0.670 0.750 0.439
Fe4 Fe 0.830 0.250 0.939
F1 F 0.000 0.000 0.000
F2 F 0.000 0.500 0.000
F3 F 0.026 0.750 0.196
F4 F 0.176 0.008 0.613
F5 F 0.176 0.492 0.613
F6 F 0.222 0.250 0.410
F7 F 0.278 0.750 0.910
F8 F 0.324 0.508 0.113
F9 F 0.324 0.992 0.113
F10 F 0.474 0.250 0.696
F11 F 0.500 0.000 0.500
F12 F 0.500 0.500 0.500
F13 F 0.526 0.750 0.304
F14 F 0.676 0.008 0.887
F15 F 0.676 0.492 0.887
F16 F 0.722 0.250 0.090
F17 F 0.778 0.750 0.590
F18 F 0.824 0.508 0.387
F19 F 0.824 0.992 0.387
F20 F 0.974 0.250 0.804
# * raw total energy: -155.82 eV/cell

---

Record 8
# KFeF3 PBE+U relaxed
data_KFeF3
_space_group_name_H-M_alt 'P 1'
_space_group_IT_number 1
_cell_length_a 4.165
_cell_length_b 4.165
_cell_length_c 4.165
_cell_angle_alpha 90.00
_cell_angle_beta 90.00
_cell_angle_gamma 90.00
loop_
_space_group_symop_operation_xyz
'x,y,z'
loop_
_atom_site_label
_atom_site_type_symbol
_atom_site_fract_x
_atom_site_fract_y
_atom_site_fract_z
K1 K 0.000 0.000 0.000
Fe1 Fe 0.500 0.500 0.500
F1 F 0.000 0.500 0.500
F2 F 0.500 0.000 0.500
F3 F 0.500 0.500 0.000
# * raw total energy: -24.22 eV/cell